Entry 1:
# r2SCAN C, relaxed
# space-group type: R-3m
data_C
_cell_length_a 14.521
_cell_length_b 14.521
_cell_length_c 14.521
_cell_angle_alpha 9.93
_cell_angle_beta 9.93
_cell_angle_gamma 9.93
_space_group_name_H-M_alt 'P 1'
_space_group_IT_number 1
loop_
_space_group_symop_operation_xyz
'x,y,z'
loop_
_atom_site_label
_atom_site_fract_x
_atom_site_fract_y
_atom_site_fract_z
C1 0.410 0.410 0.410
C2 0.304 0.304 0.304
C3 0.590 0.590 0.590
C4 0.173 0.173 0.173
C5 0.827 0.827 0.827
C6 0.553 0.553 0.553
C7 0.208 0.208 0.208
C8 0.732 0.732 0.732
C9 0.268 0.268 0.268
C10 0.447 0.447 0.447
C11 0.018 0.018 0.018
C12 0.792 0.792 0.792
C13 0.696 0.696 0.696
C14 0.982 0.982 0.982

---

Entry 2:
# r2SCAN C, relaxed
# space-group type: R-3m
data_C
_cell_length_a 10.438
_cell_length_b 10.438
_cell_length_c 10.438
_cell_angle_alpha 13.82
_cell_angle_beta 13.82
_cell_angle_gamma 13.82
_space_group_name_H-M_alt 'P 1'
_space_group_IT_number 1
loop_
_space_group_symop_operation_xyz
'x,y,z'
loop_
_atom_site_label
_atom_site_fract_x
_atom_site_fract_y
_atom_site_fract_z
C1 0.575 0.575 0.575
C2 0.842 0.842 0.842
C3 0.109 0.109 0.109
C4 0.025 0.025 0.025
C5 0.891 0.891 0.891
C6 0.975 0.975 0.975
C7 0.425 0.425 0.425
C8 0.375 0.375 0.375
C9 0.158 0.158 0.158
C10 0.625 0.625 0.625

---

no.,ΔH_f (0 K) (eV per atom)
1,0.12
2,0.12